Record 1
A relaxed structure of Li3FePCO7. Source: the Materials Project, functional GGA+U.

Computed properties:
E above lowest polymorph ... 0.45 kcal/mol of atoms
Spin magnetization ... 0.00 μB per atom
Energy with MP2020 corrections ... -0.2649 hartree per atom
Calculated formation energy ... -2325 meV/atom
SG ... P2_1

Lattice parameters (Å, degrees): 4.868 6.466 17.274 90.00 93.98 90.00
Element x y z (fractional)
Li: 0.221 0.000 0.432
Li: 0.221 0.000 0.932
Li: 0.226 0.469 0.306
Li: 0.226 0.470 0.806
Li: 0.242 0.760 0.105
Li: 0.242 0.760 0.605
Li: 0.758 0.260 0.395
Li: 0.758 0.260 0.895
Li: 0.774 0.969 0.694
Li: 0.774 0.970 0.194
Li: 0.779 0.500 0.068
Li: 0.779 0.500 0.568
Fe: 0.251 0.248 0.622
Fe: 0.251 0.249 0.122
Fe: 0.749 0.748 0.378
Fe: 0.749 0.749 0.878
P: 0.278 0.491 0.455
P: 0.278 0.492 0.955
P: 0.722 0.991 0.545
P: 0.722 0.992 0.045
C: 0.285 0.972 0.773
C: 0.286 0.972 0.273
C: 0.714 0.472 0.727
C: 0.715 0.472 0.227
O: 0.028 0.960 0.783
O: 0.029 0.959 0.283
O: 0.158 0.681 0.408
O: 0.158 0.681 0.908
O: 0.176 0.301 0.407
O: 0.176 0.301 0.907
O: 0.189 0.495 0.039
O: 0.189 0.495 0.539
O: 0.367 0.995 0.201
O: 0.367 0.995 0.701
O: 0.400 0.005 0.543
O: 0.400 0.006 0.043
O: 0.471 0.965 0.330
O: 0.471 0.966 0.830
O: 0.529 0.465 0.670
O: 0.529 0.466 0.170
O: 0.600 0.505 0.457
O: 0.600 0.506 0.957
O: 0.633 0.495 0.299
O: 0.633 0.495 0.799
O: 0.811 0.995 0.461
O: 0.811 0.995 0.961
O: 0.824 0.801 0.093
O: 0.824 0.801 0.593
O: 0.842 0.181 0.092
O: 0.842 0.181 0.592
O: 0.971 0.459 0.717
O: 0.972 0.460 0.217

***

Record 2
A relaxed structure of Li9Mn2Co5O16. Source: the Materials Project, functional GGA+U.

Computed properties:
E above lowest polymorph ... 1.19 kcal/mol of atoms
Spin magnetization ... 0.25 μB per atom
Energy with MP2020 corrections ... -0.2391 hartree per atom
Calculated formation energy ... -1813 meV/atom
SG ... P1

Lattice parameters (Å, degrees): 4.981 5.999 10.180 104.58 100.41 91.97
Element x y z (fractional)
Li: 0.000 0.000 0.000
Li: 0.000 0.495 0.492
Li: 0.007 0.988 0.493
Li: 0.497 0.243 0.493
Li: 0.499 0.740 0.999
Li: 0.500 0.256 0.000
Li: 0.509 0.751 0.493
Li: 0.753 0.616 0.245
Li: 0.999 0.490 0.998
Mn: 0.251 0.869 0.746
Mn: 0.752 0.124 0.246
Co: 0.248 0.376 0.247
Co: 0.252 0.371 0.746
Co: 0.254 0.857 0.245
Co: 0.751 0.617 0.746
Co: 0.752 0.123 0.746
O: 0.111 0.197 0.359
O: 0.112 0.692 0.862
O: 0.114 0.199 0.862
O: 0.144 0.702 0.363
O: 0.356 0.553 0.133
O: 0.390 0.050 0.631
O: 0.390 0.540 0.630
O: 0.393 0.035 0.130
O: 0.607 0.943 0.357
O: 0.611 0.422 0.861
O: 0.614 0.398 0.352
O: 0.617 0.920 0.860
O: 0.884 0.299 0.133
O: 0.886 0.817 0.629
O: 0.894 0.321 0.634
O: 0.899 0.842 0.142

***

Record 3
A relaxed structure of V2F9. Source: the Materials Project, functional GGA+U.

Computed properties:
E above lowest polymorph ... 0.10 kcal/mol of atoms
Spin magnetization ... 0.09 μB per atom
Energy with MP2020 corrections ... -0.2221 hartree per atom
Calculated formation energy ... -2826 meV/atom
SG ... P6_3/mcm

Lattice parameters (Å, degrees): 5.204 5.204 14.470 90.00 90.00 120.00
Element x y z (fractional)
V: 0.000 0.000 0.149
V: 0.000 0.000 0.351
V: 0.000 0.000 0.649
V: 0.000 0.000 0.851
F: 0.000 0.264 0.250
F: 0.000 0.297 0.593
F: 0.000 0.297 0.907
F: 0.000 0.703 0.093
F: 0.000 0.703 0.407
F: 0.000 0.736 0.750
F: 0.264 0.000 0.250
F: 0.264 0.264 0.750
F: 0.297 0.000 0.593
F: 0.297 0.000 0.907
F: 0.297 0.297 0.093
F: 0.297 0.297 0.407
F: 0.703 0.000 0.093
F: 0.703 0.000 0.407
F: 0.703 0.703 0.593
F: 0.703 0.703 0.907
F: 0.736 0.000 0.750
F: 0.736 0.736 0.250

***

Record 4
A relaxed structure of KLaCeNiO6. Source: the Materials Project, functional GGA+U.

Computed properties:
Spin magnetization ... 0.00 μB per atom
Energy with MP2020 corrections ... -0.2659 hartree per atom
Calculated formation energy ... -2491 meV/atom
SG ... F-43m

Lattice parameters (Å, degrees): 5.733 5.733 5.733 60.00 60.00 60.00
Element x y z (fractional)
K: 0.000 0.000 0.000
La: 0.500 0.500 0.500
Ce: 0.250 0.250 0.250
Ni: 0.750 0.750 0.750
O: 0.519 0.519 0.981
O: 0.519 0.981 0.519
O: 0.519 0.981 0.981
O: 0.981 0.519 0.519
O: 0.981 0.519 0.981
O: 0.981 0.981 0.519

***

Record 5
A relaxed structure of Li3FePCO7. Source: the Materials Project, functional GGA+U.

Computed properties:
E above lowest polymorph ... 0.29 kcal/mol of atoms
Spin magnetization ... 0.31 μB per atom
Energy with MP2020 corrections ... -0.2651 hartree per atom
Calculated formation energy ... -2332 meV/atom
SG ... P1

Lattice parameters (Å, degrees): 4.970 8.521 13.032 90.69 90.38 95.04
Element x y z (fractional)
Li: 0.000 0.000 0.000
Li: 0.001 0.995 0.492
Li: 0.001 0.997 0.774
Li: 0.498 0.549 0.023
Li: 0.501 0.547 0.755
Li: 0.517 0.555 0.248
Li: 0.518 0.178 0.888
Li: 0.519 0.173 0.380
Li: 0.973 0.626 0.377
Li: 0.986 0.376 0.139
Li: 0.987 0.370 0.638
Li: 0.997 0.995 0.274
Fe: 0.505 0.535 0.504
Fe: 0.534 0.937 0.135
Fe: 0.540 0.939 0.634
Fe: 0.964 0.609 0.886
P: 0.028 0.684 0.634
P: 0.029 0.685 0.136
P: 0.468 0.863 0.385
P: 0.471 0.864 0.883
C: 0.046 0.314 0.391
C: 0.054 0.309 0.884
C: 0.452 0.239 0.634
C: 0.455 0.239 0.135
O: 0.113 0.164 0.885
O: 0.114 0.170 0.385
O: 0.156 0.846 0.883
O: 0.157 0.848 0.386
O: 0.239 0.430 0.396
O: 0.249 0.423 0.884
O: 0.256 0.129 0.636
O: 0.266 0.123 0.134
O: 0.346 0.698 0.629
O: 0.346 0.704 0.133
O: 0.391 0.384 0.136
O: 0.393 0.387 0.632
O: 0.570 0.697 0.883
O: 0.574 0.697 0.382
O: 0.576 0.964 0.790
O: 0.580 0.966 0.294
O: 0.582 0.967 0.976
O: 0.583 0.964 0.480
O: 0.698 0.205 0.635
O: 0.704 0.205 0.135
O: 0.798 0.345 0.390
O: 0.807 0.345 0.883
O: 0.913 0.584 0.541
O: 0.920 0.584 0.041
O: 0.929 0.585 0.228
O: 0.931 0.584 0.728
O: 0.931 0.853 0.135
O: 0.936 0.852 0.637

***

Record 6
A relaxed structure of SrCoO. Source: the Materials Project, functional GGA+U.

Computed properties:
Spin magnetization ... 0.94 μB per atom
Energy with MP2020 corrections ... -0.1649 hartree per atom
Calculated formation energy ... 94 meV/atom
SG ... P6_3/mmc

Lattice parameters (Å, degrees): 8.637 8.637 7.015 90.00 90.00 120.00
Element x y z (fractional)
Sr: 0.333 0.667 0.250
Sr: 0.667 0.333 0.750
Co: 0.000 0.000 0.000
Co: 0.000 0.000 0.500
O: 0.000 0.000 0.250
O: 0.000 0.000 0.750

***

Record 7
A relaxed structure of Li2NiP4O12. Source: the Materials Project, functional GGA+U.

Computed properties:
E above lowest polymorph ... 1.07 kcal/mol of atoms
Spin magnetization ... 0.11 μB per atom
Energy with MP2020 corrections ... -0.2669 hartree per atom
Calculated formation energy ... -2493 meV/atom
SG ... P2_1/c

Lattice parameters (Å, degrees): 7.441 9.290 8.607 90.00 122.76 90.00
Element x y z (fractional)
Li: 0.226 0.184 0.336
Li: 0.226 0.316 0.836
Li: 0.774 0.684 0.164
Li: 0.774 0.816 0.664
Ni: 0.000 0.000 0.500
Ni: 0.000 0.500 0.000
P: 0.205 0.715 0.374
P: 0.205 0.785 0.874
P: 0.452 0.588 0.765
P: 0.452 0.912 0.265
P: 0.548 0.088 0.735
P: 0.548 0.412 0.235
P: 0.795 0.215 0.126
P: 0.795 0.285 0.626
O: 0.055 0.610 0.227
O: 0.055 0.890 0.727
O: 0.087 0.673 0.909
O: 0.087 0.827 0.409
O: 0.309 0.103 0.623
O: 0.309 0.397 0.123
O: 0.346 0.047 0.265
O: 0.346 0.453 0.765
O: 0.369 0.726 0.824
O: 0.369 0.774 0.324
O: 0.375 0.628 0.555
O: 0.375 0.872 0.055
O: 0.625 0.128 0.945
O: 0.625 0.372 0.445
O: 0.631 0.226 0.676
O: 0.631 0.274 0.176
O: 0.654 0.547 0.235
O: 0.654 0.953 0.735
O: 0.691 0.603 0.877
O: 0.691 0.897 0.377
O: 0.913 0.173 0.591
O: 0.913 0.327 0.091
O: 0.945 0.110 0.273
O: 0.945 0.390 0.773

***

Record 8
A relaxed structure of MnSb3XeF23. Source: the Materials Project, functional GGA+U.

Computed properties:
E above lowest polymorph ... 0.00 kcal/mol of atoms
Spin magnetization ... 0.18 μB per atom
Energy with MP2020 corrections ... -0.1678 hartree per atom
Calculated formation energy ... -2222 meV/atom
SG ... Pnma

Lattice parameters (Å, degrees): 10.948 16.213 11.400 90.00 90.00 90.00
Element x y z (fractional)
Mn: 0.000 0.000 0.000
Mn: 0.000 0.500 0.000
Mn: 0.500 0.000 0.500
Mn: 0.500 0.500 0.500
Sb: 0.003 0.250 0.041
Sb: 0.203 0.512 0.295
Sb: 0.203 0.988 0.295
Sb: 0.297 0.012 0.795
Sb: 0.297 0.488 0.795
Sb: 0.497 0.750 0.541
Sb: 0.503 0.250 0.459
Sb: 0.703 0.512 0.205
Sb: 0.703 0.988 0.205
Sb: 0.797 0.012 0.705
Sb: 0.797 0.488 0.705
Sb: 0.997 0.750 0.959
Xe: 0.052 0.250 0.454
Xe: 0.448 0.750 0.954
Xe: 0.552 0.250 0.046
Xe: 0.948 0.750 0.546
F: 0.002 0.129 0.043
F: 0.002 0.371 0.043
F: 0.036 0.750 0.120
F: 0.038 0.250 0.208
F: 0.054 0.750 0.408
F: 0.064 0.666 0.598
F: 0.064 0.834 0.598
F: 0.081 0.542 0.403
F: 0.081 0.958 0.403
F: 0.084 0.520 0.165
F: 0.084 0.980 0.165
F: 0.138 0.166 0.547
F: 0.138 0.334 0.547
F: 0.161 0.102 0.316
F: 0.161 0.398 0.316
F: 0.167 0.750 0.918
F: 0.173 0.250 0.013
F: 0.176 0.003 0.922
F: 0.176 0.497 0.922
F: 0.176 0.522 0.686
F: 0.176 0.978 0.686
F: 0.247 0.624 0.273
F: 0.247 0.876 0.273
F: 0.253 0.124 0.773
F: 0.253 0.376 0.773
F: 0.324 0.022 0.186
F: 0.324 0.478 0.186
F: 0.324 0.503 0.422
F: 0.324 0.997 0.422
F: 0.327 0.750 0.513
F: 0.333 0.250 0.418
F: 0.339 0.602 0.816
F: 0.339 0.898 0.816
F: 0.362 0.666 0.047
F: 0.362 0.834 0.047
F: 0.416 0.020 0.665
F: 0.416 0.480 0.665
F: 0.419 0.042 0.903
F: 0.419 0.458 0.903
F: 0.436 0.166 0.098
F: 0.436 0.334 0.098
F: 0.446 0.250 0.908
F: 0.462 0.750 0.708
F: 0.464 0.250 0.620
F: 0.498 0.629 0.543
F: 0.498 0.871 0.543
F: 0.502 0.129 0.457
F: 0.502 0.371 0.457
F: 0.536 0.750 0.380
F: 0.538 0.250 0.292
F: 0.554 0.750 0.092
F: 0.564 0.666 0.902
F: 0.564 0.834 0.902
F: 0.581 0.542 0.097
F: 0.581 0.958 0.097
F: 0.584 0.520 0.335
F: 0.584 0.980 0.335
F: 0.638 0.166 0.953
F: 0.638 0.334 0.953
F: 0.661 0.102 0.184
F: 0.661 0.398 0.184
F: 0.667 0.750 0.582
F: 0.673 0.250 0.487
F: 0.676 0.003 0.578
F: 0.676 0.497 0.578
F: 0.676 0.522 0.814
F: 0.676 0.978 0.814
F: 0.747 0.624 0.227
F: 0.747 0.876 0.227
F: 0.753 0.124 0.727
F: 0.753 0.376 0.727
F: 0.824 0.022 0.314
F: 0.824 0.478 0.314
F: 0.824 0.503 0.078
F: 0.824 0.997 0.078
F: 0.827 0.750 0.987
F: 0.833 0.250 0.082
F: 0.839 0.602 0.684
F: 0.839 0.898 0.684
F: 0.862 0.666 0.453
F: 0.862 0.834 0.453
F: 0.916 0.020 0.835
F: 0.916 0.480 0.835
F: 0.919 0.042 0.597
F: 0.919 0.458 0.597
F: 0.936 0.166 0.402
F: 0.936 0.334 0.402
F: 0.946 0.250 0.592
F: 0.962 0.750 0.792
F: 0.964 0.250 0.880
F: 0.998 0.629 0.957
F: 0.998 0.871 0.957

***

Record 9
A relaxed structure of Li9Mn2Co5O16. Source: the Materials Project, functional GGA+U.

Computed properties:
E above lowest polymorph ... 0.64 kcal/mol of atoms
Spin magnetization ... 0.31 μB per atom
Energy with MP2020 corrections ... -0.2400 hartree per atom
Calculated formation energy ... -1836 meV/atom
SG ... C2

Lattice parameters (Å, degrees): 7.715 7.715 5.110 103.74 103.74 96.39
Element x y z (fractional)
Li: 0.000 0.000 0.000
Li: 0.009 0.503 0.494
Li: 0.127 0.367 0.002
Li: 0.240 0.240 0.489
Li: 0.367 0.123 0.989
Li: 0.497 0.991 0.506
Li: 0.633 0.873 0.998
Li: 0.760 0.760 0.511
Li: 0.877 0.633 0.011
Mn: 0.626 0.374 0.500
Mn: 0.755 0.245 0.000
Co: 0.122 0.878 0.500
Co: 0.246 0.754 0.000
Co: 0.376 0.624 0.500
Co: 0.503 0.497 0.000
Co: 0.878 0.122 0.500
O: 0.020 0.759 0.733
O: 0.112 0.107 0.717
O: 0.135 0.641 0.264
O: 0.241 0.980 0.267
O: 0.270 0.507 0.770
O: 0.359 0.865 0.736
O: 0.383 0.376 0.273
O: 0.493 0.730 0.230
O: 0.513 0.259 0.783
O: 0.624 0.617 0.727
O: 0.645 0.138 0.250
O: 0.741 0.487 0.217
O: 0.756 0.021 0.745
O: 0.862 0.355 0.750
O: 0.893 0.888 0.283
O: 0.979 0.244 0.255